Ba2MgCo2O6: relaxed, GGA+U.

Geometry as POSCAR:
```
Ba2MgCo2O6
1.0
5.541 0.000 0.000
0.312 5.801 0.000
0.162 2.892 5.079
Ba Mg Co O
2 1 2 6
Direct
0.000 0.000 0.000
0.499 0.670 0.664
0.999 0.665 0.669
0.265 0.321 0.336
0.736 0.345 0.336
0.000 0.484 0.029
0.001 0.485 0.484
0.490 0.177 0.191
0.501 0.183 0.642
0.511 0.634 0.192
0.999 0.029 0.484
```

energy above the lowest structure with this stoichiometry = 0.267 eV/atom
space group = P1
calculated total energy = -0.41614 Ry/atom
MP2020-corrected energy = -6.3344 eV/atom
E_form = -1.85 eV/atom